[1]
Compound: Li8NbFe7P12O48
Source: the Materials Project
Functional: PBE with a Hubbard U
Structure: optimized geometry

Calculated total energy   -6.9499 eV/atom

Cell: 8.692 8.812 12.238 Å, 90.13 90.10 90.10°
Space group P1 (No. 1)
Inequivalent atoms, fractional coordinates:
Li: 0.000 0.000 0.000
Li: 0.001 0.053 0.643
Li: 0.433 0.501 0.000
Li: 0.434 0.556 0.637
Li: 0.498 0.055 0.501
Li: 0.499 0.001 0.136
Li: 0.933 0.503 0.135
Li: 0.933 0.563 0.501
Nb: 0.969 0.240 0.432
Fe: 0.464 0.738 0.431
Fe: 0.465 0.320 0.205
Fe: 0.467 0.819 0.931
Fe: 0.468 0.237 0.706
Fe: 0.964 0.738 0.708
Fe: 0.965 0.319 0.931
Fe: 0.967 0.816 0.205
P: 0.111 0.671 0.966
P: 0.113 0.388 0.673
P: 0.179 0.532 0.316
P: 0.260 0.024 0.315
P: 0.321 0.171 0.966
P: 0.322 0.885 0.672
P: 0.606 0.384 0.465
P: 0.610 0.671 0.172
P: 0.677 0.528 0.819
P: 0.755 0.028 0.819
P: 0.819 0.170 0.168
P: 0.819 0.881 0.465
O: 0.042 0.791 0.044
O: 0.044 0.264 0.591
O: 0.052 0.544 0.638
O: 0.054 0.510 0.998
O: 0.059 0.342 0.787
O: 0.061 0.711 0.849
O: 0.066 0.614 0.240
O: 0.068 0.438 0.397
O: 0.143 0.174 0.974
O: 0.143 0.882 0.663
O: 0.155 0.135 0.385
O: 0.159 0.919 0.248
O: 0.271 0.636 0.391
O: 0.272 0.419 0.249
O: 0.289 0.383 0.662
O: 0.289 0.674 0.974
O: 0.362 0.942 0.400
O: 0.364 0.116 0.239
O: 0.371 0.212 0.849
O: 0.372 0.844 0.788
O: 0.378 0.011 0.998
O: 0.378 0.046 0.639
O: 0.390 0.292 0.044
O: 0.390 0.764 0.593
O: 0.542 0.263 0.544
O: 0.542 0.792 0.093
O: 0.553 0.511 0.139
O: 0.556 0.546 0.499
O: 0.560 0.713 0.288
O: 0.563 0.345 0.348
O: 0.569 0.440 0.740
O: 0.569 0.616 0.898
O: 0.643 0.172 0.164
O: 0.643 0.885 0.476
O: 0.659 0.921 0.890
O: 0.660 0.135 0.748
O: 0.773 0.421 0.890
O: 0.773 0.635 0.748
O: 0.788 0.674 0.163
O: 0.789 0.379 0.474
O: 0.863 0.116 0.899
O: 0.863 0.941 0.740
O: 0.871 0.846 0.349
O: 0.873 0.208 0.290
O: 0.880 0.011 0.139
O: 0.880 0.047 0.496
O: 0.891 0.767 0.545
O: 0.892 0.294 0.096

[2]
Compound: Li4NbFe5P6O24
Source: the Materials Project
Functional: PBE with a Hubbard U
Structure: optimized geometry

Calculated total energy   -7.0196 eV/atom

Cell: 8.498 8.633 8.644 Å, 63.11 63.46 63.92°
Space group P1 (No. 1)
Inequivalent atoms, fractional coordinates:
Li: 0.000 0.000 0.000
Li: 0.098 0.491 0.944
Li: 0.547 0.694 0.289
Li: 0.894 0.147 0.491
Nb: 0.104 0.698 0.494
Fe: 0.267 0.857 0.644
Fe: 0.401 0.002 0.795
Fe: 0.604 0.208 0.993
Fe: 0.744 0.354 0.146
Fe: 0.907 0.505 0.303
P: 0.000 0.290 0.701
P: 0.192 0.098 0.191
P: 0.310 0.598 0.084
P: 0.502 0.399 0.593
P: 0.692 0.906 0.392
P: 0.813 0.803 0.896
O: 0.007 0.258 0.214
O: 0.013 0.759 0.746
O: 0.070 0.452 0.652
O: 0.148 0.101 0.726
O: 0.156 0.526 0.119
O: 0.165 0.950 0.392
O: 0.201 0.030 0.052
O: 0.258 0.664 0.250
O: 0.310 0.762 0.907
O: 0.357 0.602 0.553
O: 0.363 0.144 0.146
O: 0.423 0.255 0.632
O: 0.498 0.454 0.077
O: 0.504 0.928 0.542
O: 0.561 0.376 0.745
O: 0.657 0.861 0.824
O: 0.660 0.414 0.402
O: 0.709 0.087 0.234
O: 0.722 0.753 0.327
O: 0.811 0.949 0.951
O: 0.816 0.613 0.052
O: 0.854 0.282 0.893
O: 0.855 0.851 0.468
O: 0.932 0.321 0.550

[3]
Compound: Li4Nb2Fe3Sb3O16
Source: the Materials Project
Functional: PBE with a Hubbard U
Structure: optimized geometry

Calculated total energy   -6.6718 eV/atom

Cell: 6.280 6.285 10.008 Å, 89.37 89.72 60.10°
Space group P1 (No. 1)
Inequivalent atoms, fractional coordinates:
Li: 0.000 0.000 0.000
Li: 0.006 0.992 0.485
Li: 0.339 0.317 0.572
Li: 0.675 0.644 0.088
Nb: 0.356 0.291 0.002
Nb: 0.680 0.635 0.486
Fe: 0.178 0.148 0.272
Fe: 0.671 0.150 0.273
Fe: 0.845 0.311 0.773
Sb: 0.181 0.635 0.268
Sb: 0.358 0.798 0.767
Sb: 0.844 0.800 0.767
O: 0.017 0.965 0.183
O: 0.024 0.982 0.669
O: 0.045 0.484 0.140
O: 0.179 0.160 0.901
O: 0.182 0.645 0.887
O: 0.332 0.330 0.376
O: 0.347 0.787 0.387
O: 0.470 0.483 0.141
O: 0.484 0.031 0.137
O: 0.521 0.937 0.609
O: 0.522 0.508 0.635
O: 0.659 0.180 0.908
O: 0.676 0.624 0.888
O: 0.837 0.319 0.392
O: 0.861 0.788 0.390
O: 0.961 0.502 0.634